No. 1
Here is Pr4Y11S22 after structural relaxation from Materials Project. Energies are from PBE-GGA.

a b c (Å): 19.794 19.794 11.435
angles (deg): 91.55 91.55 11.52
Atoms (fractional coordinates):
Pr: 0.105 0.105 0.012
Pr: 0.367 0.367 0.347
Pr: 0.633 0.633 0.653
Pr: 0.895 0.895 0.988
Y: 0.000 0.000 0.000
Y: 0.070 0.070 0.360
Y: 0.202 0.202 0.942
Y: 0.264 0.264 0.352
Y: 0.342 0.342 0.699
Y: 0.462 0.462 0.271
Y: 0.538 0.538 0.729
Y: 0.658 0.658 0.301
Y: 0.736 0.736 0.648
Y: 0.798 0.798 0.058
Y: 0.930 0.930 0.640
S: 0.008 0.008 0.239
S: 0.088 0.088 0.753
S: 0.135 0.135 0.455
S: 0.168 0.168 0.150
S: 0.189 0.189 0.691
S: 0.255 0.255 0.119
S: 0.280 0.280 0.589
S: 0.351 0.351 0.092
S: 0.407 0.407 0.789
S: 0.445 0.445 0.493
S: 0.453 0.453 0.030
S: 0.547 0.547 0.970
S: 0.555 0.555 0.507
S: 0.593 0.593 0.211
S: 0.649 0.649 0.908
S: 0.720 0.720 0.411
S: 0.745 0.745 0.881
S: 0.811 0.811 0.309
S: 0.832 0.832 0.850
S: 0.865 0.865 0.545
S: 0.912 0.912 0.247
S: 0.992 0.992 0.761

Results
Corrected total energy (MP2020 scheme)   -0.53350 Ry/atom
Symmetry   C2/m



No. 2
Here is PrSb2 after structural relaxation from Materials Project. Energies are from PBE-GGA.

a b c (Å): 4.449 4.449 18.303
angles (deg): 90.00 90.00 88.86
Atoms (fractional coordinates):
Pr: 0.136 0.864 0.890
Pr: 0.364 0.636 0.390
Pr: 0.636 0.364 0.610
Pr: 0.864 0.136 0.110
Sb: 0.127 0.373 0.750
Sb: 0.132 0.868 0.564
Sb: 0.368 0.632 0.064
Sb: 0.373 0.127 0.250
Sb: 0.627 0.873 0.750
Sb: 0.632 0.368 0.936
Sb: 0.868 0.132 0.436
Sb: 0.873 0.627 0.250

Results
Corrected total energy (MP2020 scheme)   -0.38813 Ry/atom
Symmetry   Cmce



No. 3
Here is Pr5Sb3 after structural relaxation from Materials Project. Energies are from PBE-GGA.

a b c (Å): 9.453 9.453 6.509
angles (deg): 90.00 90.00 59.93
Atoms (fractional coordinates):
Pr: 0.167 0.167 0.000
Pr: 0.167 0.167 0.500
Pr: 0.247 0.500 0.250
Pr: 0.247 0.753 0.750
Pr: 0.500 0.247 0.750
Pr: 0.500 0.753 0.250
Pr: 0.753 0.247 0.250
Pr: 0.753 0.500 0.750
Pr: 0.833 0.833 0.000
Pr: 0.833 0.833 0.500
Sb: 0.115 0.500 0.750
Sb: 0.115 0.885 0.250
Sb: 0.500 0.115 0.250
Sb: 0.500 0.885 0.750
Sb: 0.885 0.115 0.750
Sb: 0.885 0.500 0.250

Results
Corrected total energy (MP2020 scheme)   -0.40959 Ry/atom
Symmetry   Cmcm



No. 4
Here is Pr4Sb3 after structural relaxation from Materials Project. Energies are from PBE-GGA.

a b c (Å): 8.298 8.298 8.298
angles (deg): 109.47 109.47 109.47
Atoms (fractional coordinates):
Pr: 0.000 0.141 0.500
Pr: 0.000 0.641 0.500
Pr: 0.141 0.500 0.000
Pr: 0.359 0.359 0.359
Pr: 0.500 0.000 0.141
Pr: 0.500 0.000 0.641
Pr: 0.641 0.500 0.000
Pr: 0.859 0.859 0.859
Sb: 0.125 0.875 0.250
Sb: 0.250 0.125 0.875
Sb: 0.375 0.625 0.750
Sb: 0.625 0.750 0.375
Sb: 0.750 0.375 0.625
Sb: 0.875 0.250 0.125

Results
Corrected total energy (MP2020 scheme)   -0.41520 Ry/atom
Symmetry   I-43d



No. 5
Here is PrSb after structural relaxation from Materials Project. Energies are from PBE-GGA.

a b c (Å): 4.560 4.560 4.560
angles (deg): 60.00 60.00 60.00
Atoms (fractional coordinates):
Pr: 0.000 0.000 0.000
Sb: 0.500 0.500 0.500

Results
Corrected total energy (MP2020 scheme)   -0.42160 Ry/atom
Symmetry   Fm-3m



No. 6
Here is PrSb after structural relaxation from Materials Project. Energies are from PBE-GGA.

a b c (Å): 4.143 4.143 3.464
angles (deg): 90.00 90.00 90.00
Atoms (fractional coordinates):
Pr: 0.000 0.000 0.000
Sb: 0.500 0.500 0.500

Results
Corrected total energy (MP2020 scheme)   -0.40344 Ry/atom
Symmetry   P4/mmm